(1)
# PBE-GGA TcBr4, optimized geometry
data_TcBr4
_chemical_formula_sum 'Tc8 Br32'
_symmetry_space_group_name_H-M 'P b c a'
_symmetry_Int_Tables_number 61
_cell_length_a 6.483
_cell_length_b 13.650
_cell_length_c 15.996
_cell_angle_alpha 90.00
_cell_angle_beta 90.00
_cell_angle_gamma 90.00
loop_
_symmetry_equiv_pos_as_xyz
'x,y,z'
'-x,-y,-z'
'-x+1/2,-y,z+1/2'
'x+1/2,y,-z+1/2'
'x+1/2,-y+1/2,-z'
'-x+1/2,y+1/2,z'
'-x,y+1/2,-z+1/2'
'x,-y+1/2,z+1/2'
loop_
_atom_site_label
_atom_site_fract_x
_atom_site_fract_y
_atom_site_fract_z
Tc1 0.098 0.129 0.183
Br1 0.041 0.741 0.420
Br2 0.076 0.734 0.196
Br3 0.229 0.525 0.304
Br4 0.239 0.018 0.080
# ρ: 3.92 g/cm3

***

(2)
# PBE-GGA Ba3HoIrRuO9, optimized geometry
data_Ba3HoIrRuO9
_chemical_formula_sum 'Ba6 Ho2 Ir2 Ru2 O18'
_symmetry_space_group_name_H-M 'P 63 m c'
_symmetry_Int_Tables_number 186
_symmetry_space_group_name_Hall 'P 6c -2c'
_cell_length_a 5.9450
_cell_length_b 5.9450
_cell_length_c 14.6692
_cell_angle_alpha 90.00
_cell_angle_beta 90.00
_cell_angle_gamma 120.00
loop_
_atom_site_label
_atom_site_fract_x
_atom_site_fract_y
_atom_site_fract_z
Ba1 0.0000 0.0000 0.0000
Ba2 0.3333 0.6667 0.1571
Ba3 0.3333 0.6667 0.8445
Ho1 0.0000 0.0000 0.2512
Ir1 0.3333 0.6667 0.4144
Ru1 0.3333 0.6667 0.5868
O1 0.0203 0.5101 0.5008
O2 0.1754 0.3509 0.3358
O3 0.1757 0.3514 0.6617
# ρ: 7.50 g/cm3

***

(3)
# PBE-GGA Si2Ni3, optimized geometry
data_Si2Ni3
_chemical_formula_sum 'Si32 Ni48'
_symmetry_space_group_name_H-M 'C m c m'
_symmetry_Int_Tables_number 63
_symmetry_space_group_name_Hall '-C 2c 2'
_cell_length_a 12.214
_cell_length_b 10.807
_cell_length_c 6.917
_cell_angle_alpha 90.00
_cell_angle_beta 90.00
_cell_angle_gamma 90.00
loop_
_atom_site_label
_atom_site_fract_x
_atom_site_fract_y
_atom_site_fract_z
Si1 0.000 0.092 0.250
Si2 0.000 0.344 0.750
Si3 0.119 0.443 0.250
Si4 0.151 0.158 0.542
Ni1 0.000 0.117 0.750
Ni2 0.000 0.265 0.061
Ni3 0.000 0.500 0.000
Ni4 0.172 0.381 0.561
Ni5 0.181 0.004 0.250
Ni6 0.197 0.253 0.250
# ρ: 6.76 g/cm3

***

(4)
# PBE-GGA LiAl2Pd, optimized geometry
data_LiAl2Pd
_chemical_formula_sum 'Li4 Al8 Pd4'
_symmetry_space_group_name_H-M 'F m -3 m'
_symmetry_Int_Tables_number 225
_symmetry_space_group_name_Hall '-F 4 2 3'
_cell_length_a 6.109
_cell_length_b 6.109
_cell_length_c 6.109
_cell_angle_alpha 90.00
_cell_angle_beta 90.00
_cell_angle_gamma 90.00
loop_
_atom_site_label
_atom_site_fract_x
_atom_site_fract_y
_atom_site_fract_z
Li1 0.000 0.000 0.000
Al1 0.250 0.250 0.250
Pd1 0.000 0.000 0.500
# ρ: 4.88 g/cm3

***

(5)
# PBE-GGA PaTlAu2, optimized geometry
data_PaTlAu2
_chemical_formula_sum 'Pa4 Tl4 Au8'
_symmetry_space_group_name_H-M 'F m -3 m'
_symmetry_Int_Tables_number 225
_symmetry_space_group_name_Hall '-F 4 2 3'
_cell_length_a 7.114
_cell_length_b 7.114
_cell_length_c 7.114
_cell_angle_alpha 90.00
_cell_angle_beta 90.00
_cell_angle_gamma 90.00
loop_
_atom_site_label
_atom_site_fract_x
_atom_site_fract_y
_atom_site_fract_z
Pa1 0.000 0.000 0.000
Tl1 0.000 0.000 0.500
Au1 0.250 0.250 0.250
# ρ: 15.30 g/cm3

***

(6)
# PBE-GGA Ba11C2N10, optimized geometry
data_Ba11C2N10
_chemical_formula_sum 'Ba22 C4 N20'
_symmetry_space_group_name_H-M 'P 42/m n m'
_symmetry_Int_Tables_number 136
_symmetry_space_group_name_Hall '-P 4n 2n'
_cell_length_a 16.486
_cell_length_b 16.486
_cell_length_c 4.150
_cell_angle_alpha 90.00
_cell_angle_beta 90.00
_cell_angle_gamma 90.00
loop_
_atom_site_label
_atom_site_fract_x
_atom_site_fract_y
_atom_site_fract_z
Ba1 0.000 0.000 0.000
Ba2 0.019 0.207 0.500
Ba3 0.117 0.618 0.500
Ba4 0.175 0.825 0.000
C1 0.178 0.178 0.000
N1 0.036 0.688 0.000
N2 0.096 0.904 0.500
N3 0.124 0.124 0.000
N4 0.231 0.231 0.000
# ρ: 4.93 g/cm3

***

(7)
# PBE-GGA DyTmIn2, optimized geometry
data_DyTmIn2
_chemical_formula_sum 'Dy4 Tm4 In8'
_symmetry_space_group_name_H-M 'F m -3 m'
_symmetry_Int_Tables_number 225
_symmetry_space_group_name_Hall '-F 4 2 3'
_cell_length_a 7.473
_cell_length_b 7.473
_cell_length_c 7.473
_cell_angle_alpha 90.00
_cell_angle_beta 90.00
_cell_angle_gamma 90.00
loop_
_atom_site_label
_atom_site_fract_x
_atom_site_fract_y
_atom_site_fract_z
Dy1 0.000 0.000 0.000
Tm1 0.000 0.000 0.500
In1 0.250 0.250 0.250
# ρ: 8.93 g/cm3

***

(8)
# PBE-GGA Sm3Ga, optimized geometry
data_Sm3Ga
_chemical_formula_sum 'Sm3 Ga1'
_symmetry_space_group_name_H-M 'P m -3 m'
_symmetry_Int_Tables_number 221
_symmetry_space_group_name_Hall '-P 4 2 3'
_cell_length_a 4.806
_cell_length_b 4.806
_cell_length_c 4.806
_cell_angle_alpha 90.00
_cell_angle_beta 90.00
_cell_angle_gamma 90.00
loop_
_atom_site_label
_atom_site_fract_x
_atom_site_fract_y
_atom_site_fract_z
Sm1 0.000 0.000 0.500
Ga1 0.500 0.500 0.500
# ρ: 7.79 g/cm3

***

(9)
# PBE-GGA SmUAl4, optimized geometry
data_SmUAl4
_chemical_formula_sum 'Sm4 U4 Al16'
_symmetry_space_group_name_H-M 'F -4 3 m'
_symmetry_Int_Tables_number 216
_symmetry_space_group_name_Hall 'F -4 2 3'
_cell_length_a 7.869
_cell_length_b 7.869
_cell_length_c 7.869
_cell_angle_alpha 90.00
_cell_angle_beta 90.00
_cell_angle_gamma 90.00
loop_
_atom_site_label
_atom_site_fract_x
_atom_site_fract_y
_atom_site_fract_z
Sm1 0.000 0.000 0.000
U1 0.250 0.250 0.750
Al1 0.124 0.124 0.376
# ρ: 6.77 g/cm3

***

(10)
# PBE-GGA Ca2Ni10H, optimized geometry
data_Ca2Ni10H
_chemical_formula_sum 'Ca4 Ni20 H2'
_symmetry_space_group_name_H-M 'A m m 2'
_symmetry_Int_Tables_number 38
_cell_length_a 7.871
_cell_length_b 4.949
_cell_length_c 8.533
_cell_angle_alpha 90.00
_cell_angle_beta 90.00
_cell_angle_gamma 90.00
loop_
_symmetry_equiv_pos_as_xyz
'x,y,z'
'-x,-y,z'
'-x,y,z'
'x,-y,z'
'x,y+1/2,z+1/2'
'-x,-y+1/2,z+1/2'
'-x,y+1/2,z+1/2'
'x,-y+1/2,z+1/2'
loop_
_atom_site_label
_atom_site_fract_x
_atom_site_fract_y
_atom_site_fract_z
Ca1 0.241 0.000 0.000
Ni1 0.000 0.000 0.500
Ni2 0.000 0.250 0.250
Ni3 0.249 0.000 0.334
Ni4 0.249 0.000 0.664
Ni5 0.500 0.000 0.501
Ni6 0.500 0.245 0.249
H1 0.500 0.000 0.860
# polymorph energy (0 for the lowest one): 18.3 meV/atom
# ρ: 6.68 g/cm3

***

(11)
# PBE-GGA Na8Zn2Ga2Si3S3O24, optimized geometry
data_Na8Zn2Ga2Si3S3O24
_chemical_formula_sum 'Na24 Zn6 Ga6 Si9 S9 O72'
_symmetry_space_group_name_H-M 'P 1'
_symmetry_Int_Tables_number 1
_cell_length_a 9.050
_cell_length_b 9.081
_cell_length_c 22.111
_cell_angle_alpha 87.04
_cell_angle_beta 87.93
_cell_angle_gamma 60.89
loop_
_symmetry_equiv_pos_as_xyz
'x,y,z'
loop_
_atom_site_label
_atom_site_fract_x
_atom_site_fract_y
_atom_site_fract_z
Na1 0.000 0.000 0.000
Na2 0.001 0.641 0.754
Na3 0.015 0.620 0.245
Na4 0.029 0.915 0.679
Na5 0.036 0.294 0.156
Na6 0.286 0.653 0.170
Na7 0.308 0.299 0.674
Na8 0.327 0.975 0.083
Na9 0.332 0.595 0.830
Na10 0.341 0.333 0.328
Na11 0.352 0.944 0.588
Na12 0.363 0.250 0.011
Na13 0.379 0.627 0.504
Na14 0.635 0.983 0.512
Na15 0.641 0.632 0.007
Na16 0.658 0.309 0.417
Na17 0.667 0.664 0.664
Na18 0.676 0.930 0.160
Na19 0.685 0.278 0.921
Na20 0.689 0.588 0.336
Na21 0.711 0.964 0.837
Na22 0.969 0.314 0.848
Na23 0.976 0.957 0.324
Na24 0.997 0.266 0.501
Zn1 0.315 0.980 0.942
Zn2 0.355 0.926 0.434
Zn3 0.656 0.286 0.258
Zn4 0.666 0.278 0.766
Zn5 0.987 0.644 0.608
Zn6 0.995 0.627 0.102
Ga1 0.003 0.624 0.404
Ga2 0.315 0.958 0.230
Ga3 0.343 0.932 0.733
Ga4 0.654 0.317 0.579
Ga5 0.688 0.252 0.068
Ga6 0.988 0.651 0.913
Si1 0.042 0.956 0.839
Si2 0.331 0.661 0.340
Si3 0.369 0.590 0.672
Si4 0.371 0.289 0.172
Si5 0.661 0.002 0.672
Si6 0.698 0.924 0.004
Si7 0.714 0.619 0.506
Si8 0.963 0.997 0.173
Si9 0.992 0.341 0.005
S1 0.000 0.925 0.501
S2 0.045 0.255 0.340
S3 0.296 0.330 0.503
S4 0.299 0.621 0.003
S5 0.332 0.255 0.835
S6 0.632 0.664 0.836
S7 0.633 0.956 0.339
S8 0.662 0.591 0.173
S9 0.965 0.288 0.669
O1 0.030 0.420 0.062
O2 0.030 0.429 0.339
O3 0.030 0.774 0.844
O4 0.031 0.817 0.557
O5 0.127 0.985 0.897
O6 0.128 0.156 0.396
O7 0.133 0.133 0.673
O8 0.147 0.956 0.495
O9 0.148 0.650 0.345
O10 0.149 0.174 0.285
O11 0.152 0.150 0.001
O12 0.156 0.980 0.172
O13 0.165 0.923 0.776
O14 0.176 0.423 0.837
O15 0.180 0.448 0.165
O16 0.181 0.606 0.665
O17 0.195 0.647 0.058
O18 0.197 0.407 0.558
O19 0.213 0.439 0.447
O20 0.215 0.599 0.948
O21 0.296 0.795 0.281
O22 0.310 0.160 0.499
O23 0.316 0.172 0.781
O24 0.324 0.771 0.995
O25 0.352 0.782 0.673
O26 0.355 0.151 0.891
O27 0.360 0.734 0.401
O28 0.369 0.104 0.180
O29 0.440 0.332 0.232
O30 0.459 0.475 0.731
O31 0.466 0.467 0.006
O32 0.469 0.314 0.503
O33 0.479 0.995 0.677
O34 0.484 0.279 0.833
O35 0.488 0.515 0.610
O36 0.496 0.474 0.334
O37 0.501 0.257 0.113
O38 0.507 0.763 0.176
O39 0.511 0.941 0.997
O40 0.524 0.787 0.501
O41 0.529 0.982 0.396
O42 0.530 0.745 0.890
O43 0.550 0.935 0.287
O44 0.551 0.771 0.779
O45 0.632 0.129 0.609
O46 0.637 0.512 0.120
O47 0.648 0.494 0.833
O48 0.660 0.105 0.335
O49 0.681 0.115 0.006
O50 0.682 0.491 0.231
O51 0.698 0.439 0.511
O52 0.705 0.072 0.730
O53 0.783 0.808 0.064
O54 0.801 0.647 0.563
O55 0.803 0.650 0.836
O56 0.803 0.797 0.344
O57 0.809 0.333 0.009
O58 0.815 0.611 0.169
O59 0.819 0.848 0.943
O60 0.820 0.811 0.666
O61 0.837 0.585 0.443
O62 0.842 0.090 0.505
O63 0.853 0.124 0.832
O64 0.857 0.084 0.234
O65 0.859 0.314 0.725
O66 0.873 0.274 0.338
O67 0.881 0.122 0.112
O68 0.882 0.265 0.615
O69 0.968 0.464 0.942
O70 0.980 0.840 0.448
O71 0.982 0.810 0.168
O72 0.990 0.437 0.662
# ρ: 3.20 g/cm3

***

no.,ΔE_f (eV/atom),uncorrected energy (eV/atom)
1,-0.7142,-3.669
2,-2.5955,-7.049
3,-0.5233,-6.162
4,-0.6372,-4.282
5,-0.2631,-4.869
6,-0.6674,-5.855
7,-0.4358,-4.082
8,-0.2391,-4.535
9,-0.2346,-5.400
10,-0.1124,-5.114
11,-2.2745,-5.848